Entry 1:
# K2Na2MgNb2O2F10

A relaxed K2Na2MgNb2O2F10 crystal (PBE, the Materials Project).

```
K2Na2MgNb2O2F10
1.0
6.364 -0.476 0.007
-0.476 6.364 0.007
0.014 0.014 9.186
K Na Mg Nb O F
2 2 1 2 2 10
Cartesian
1.720 4.182 4.600
4.182 1.720 4.600
4.400 4.400 7.272
1.502 1.502 1.928
0.007 0.007 4.593
4.403 4.403 2.074
1.498 1.498 7.126
4.427 4.427 0.316
1.475 1.475 8.884
4.564 4.564 4.655
1.338 1.338 4.545
5.829 3.034 2.758
2.990 2.990 2.643
5.867 5.867 2.690
3.034 5.829 2.758
0.073 2.867 6.442
2.911 2.911 6.557
0.035 0.035 6.510
2.867 0.073 6.442
```

Magnetic moment: 2.0 Bohr magnetons per cell
Energy relative to the lowest polymorph listed for this composition: 0.0 meV per atom

---

Entry 2:
# TiSb3

A relaxed TiSb3 crystal (PBE, the Materials Project).

```
TiSb3
1.0
-2.208 2.208 4.914
2.208 -2.208 4.914
2.208 2.208 -4.914
Ti Sb
1 3
Cartesian
0.000 0.000 0.000
0.000 2.208 2.457
2.208 0.000 2.457
0.000 0.000 4.914
```

Magnetic moment: 0.4 Bohr magnetons per cell

---

Entry 3:
# CuH7C3NO6

A relaxed CuH7C3NO6 crystal (PBE, the Materials Project).

```
CuH7C3NO6
1.0
7.185 0.000 0.000
0.000 8.193 0.000
0.000 0.000 13.645
Cu H C N O
4 28 12 4 24
Cartesian
7.182 0.127 1.172
0.003 4.224 5.651
3.590 3.969 12.473
3.595 8.066 7.995
0.414 7.555 11.343
6.771 3.458 9.125
4.006 4.735 2.303
3.179 0.638 4.520
6.794 0.777 11.079
0.391 4.874 9.389
3.201 3.319 2.566
3.984 7.416 4.256
0.789 0.306 9.956
6.396 4.403 10.511
4.382 3.790 3.689
2.803 7.887 3.134
6.454 7.668 10.071
0.731 3.572 10.397
2.861 4.621 3.575
4.324 0.525 3.248
1.932 5.768 0.513
5.254 1.672 6.310
5.524 6.521 13.133
1.661 2.425 7.335
5.166 2.302 0.715
2.019 6.398 6.108
1.573 1.795 12.931
5.612 5.891 7.537
6.723 6.249 3.287
0.462 2.152 3.536
3.131 6.041 10.359
4.054 1.944 10.109
1.612 5.965 13.115
5.573 1.869 7.353
5.204 6.324 0.530
1.981 2.228 6.292
5.530 2.024 13.355
1.656 6.121 7.113
1.937 2.072 0.290
5.248 6.169 6.532
0.640 6.358 3.274
6.546 2.261 3.549
4.232 5.932 10.372
2.953 1.835 10.096
0.021 8.171 10.581
7.164 4.075 9.887
3.614 4.118 3.064
3.571 0.022 3.759
0.847 6.943 12.899
6.338 2.847 7.569
4.440 5.346 0.746
2.745 1.250 6.077
2.048 5.179 12.198
5.137 1.083 8.270
5.640 7.110 1.448
1.545 3.014 5.375
6.395 1.093 13.253
0.790 5.189 7.215
2.803 3.004 0.393
4.382 7.100 6.430
5.079 2.637 12.335
2.106 6.733 8.133
1.486 1.460 1.310
5.699 5.556 5.513
1.124 7.263 2.488
6.061 3.167 4.334
4.717 5.026 11.157
2.468 0.930 9.311
1.342 5.618 4.008
5.843 1.522 2.815
4.934 6.671 9.637
2.251 2.575 10.831
```

Magnetic moment: 4.2 Bohr magnetons per cell

---

Entry 4:
# Zr2Ti3Pb5O15

A relaxed Zr2Ti3Pb5O15 crystal (PBE, the Materials Project).

```
Zr2Ti3Pb5O15
1.0
4.019 0.000 0.000
0.000 4.490 0.000
0.000 0.000 19.877
Zr Ti Pb O
2 3 5 15
Cartesian
2.009 2.153 2.092
2.009 2.153 17.786
2.009 2.185 6.094
2.009 2.183 9.939
2.009 2.185 13.783
0.000 0.181 0.000
0.000 0.184 4.162
0.000 0.204 8.020
0.000 0.204 11.857
0.000 0.184 15.716
2.009 4.124 2.086
2.009 3.935 6.078
2.009 3.930 9.939
2.009 3.935 13.800
2.009 4.124 17.791
0.000 1.672 2.103
0.000 1.767 6.106
0.000 1.762 9.939
0.000 1.767 13.772
0.000 1.672 17.774
2.009 1.755 0.000
2.009 1.717 4.197
2.009 1.709 8.026
2.009 1.709 11.852
2.009 1.717 15.681
```

Magnetic moment: 0.0 Bohr magnetons per cell
Energy relative to the lowest polymorph listed for this composition: 0.0 meV per atom

---

Entry 5:
# Sc2O3

A relaxed Sc2O3 crystal (PBE, the Materials Project).

```
Sc2O3
1.0
-0.823 5.359 -0.630
-6.896 -1.769 -6.038
-6.531 -0.121 7.494
Sc O
16 24
Cartesian
-6.951 0.574 5.430
-6.410 -0.569 -4.827
-9.414 -0.127 3.141
-10.199 -0.581 -0.370
-6.348 1.040 1.846
-2.831 1.669 2.313
-3.592 1.061 -1.180
-7.248 0.497 -1.423
-9.306 2.433 0.456
-12.860 1.774 0.169
-8.574 2.943 4.055
-5.396 2.476 -3.895
-5.334 4.084 2.779
-2.699 4.075 -0.354
-6.278 3.569 -0.660
-8.871 2.865 -2.799
-7.410 5.045 6.732
-8.715 -0.648 5.457
-10.026 -1.635 -2.249
-4.664 -1.067 -4.054
-6.347 4.596 1.164
-8.675 4.059 -1.027
-2.800 0.528 0.650
-5.309 -0.018 -1.050
-7.615 -0.645 -3.214
-7.577 1.119 3.442
-12.161 -0.058 -0.428
-9.663 0.563 1.262
-8.095 2.296 6.044
-4.855 2.194 2.425
-6.155 1.335 -5.315
-9.294 1.115 -1.614
-7.231 1.867 0.243
-10.205 1.543 4.240
-6.807 2.347 -2.461
-2.366 3.522 1.572
-4.372 2.910 -0.682
-6.769 4.111 4.194
-9.218 3.482 2.194
-11.235 2.945 -0.069
```

Maximum piezoelectric response: 1.30 C/m2
Magnetic moment: 0.0 Bohr magnetons per cell

---

Entry 6:
# Tl4CrI6

A relaxed Tl4CrI6 crystal (PBE, the Materials Project).

```
Tl4CrI6
1.0
6.492 -6.763 0.000
6.492 6.763 0.000
0.000 0.000 9.952
Tl Cr I
8 2 12
Cartesian
4.446 0.000 2.488
8.539 0.000 2.488
8.539 0.000 7.464
4.446 0.000 7.464
6.492 4.826 2.488
6.492 -4.826 2.488
6.492 -4.826 7.464
6.492 4.826 7.464
3.246 -3.382 4.976
3.246 3.382 0.000
10.856 0.238 4.976
2.128 -0.238 4.976
5.873 2.405 0.000
7.112 -2.405 0.000
5.873 -2.405 4.976
7.112 2.405 4.976
10.856 -0.238 0.000
2.128 0.238 0.000
3.246 -3.382 7.724
3.246 3.382 7.204
3.246 -3.382 2.228
3.246 3.382 2.748
```

Magnetic moment: 8.0 Bohr magnetons per cell
Energy relative to the lowest polymorph listed for this composition: 0.0 meV per atom

---

Entry 7:
# KCu3GeSe4

A relaxed KCu3GeSe4 crystal (PBE, the Materials Project).

```
KCu3GeSe4
1.0
6.195 0.000 0.000
0.000 6.195 0.000
0.000 0.000 6.195
K Cu Ge Se
1 3 1 4
Cartesian
3.098 3.098 3.098
0.000 3.098 0.000
0.000 0.000 3.098
3.098 0.000 0.000
0.000 0.000 0.000
1.354 1.354 1.354
4.841 4.841 1.354
1.354 4.841 4.841
4.841 1.354 4.841
```

Magnetic moment: 0.0 Bohr magnetons per cell

---

Entry 8:
# Fe3PdN

A relaxed Fe3PdN crystal (PBE, the Materials Project).

```
Fe3PdN
1.0
3.866 0.000 0.000
0.000 3.866 0.000
0.000 0.000 3.866
Fe Pd N
3 1 1
Cartesian
1.933 0.000 1.933
0.000 1.933 1.933
1.933 1.933 0.000
0.000 0.000 0.000
1.933 1.933 1.933
```

---

Number 1: ΔH_f (0 K) -292.8 kJ/mol of atoms, calculated volume 370.0 Å³/f.u., total DFT energy (no corrections) -107.4 eV/cell. Number 2: ΔH_f (0 K) 1.9 kJ/mol of atoms, calculated volume 95.8 Å³/f.u., total DFT energy (no corrections) -19.6 eV/cell. Number 3: ΔH_f (0 K) -95.3 kJ/mol of atoms, calculated volume 200.8 Å³/f.u., total DFT energy (no corrections) -428.8 eV/cell. Number 4: ΔH_f (0 K) -266.7 kJ/mol of atoms, calculated volume 358.6 Å³/f.u., total DFT energy (no corrections) -192.4 eV/cell. Number 5: ΔH_f (0 K) -375.0 kJ/mol of atoms, calculated volume 63.3 Å³/f.u., total DFT energy (no corrections) -359.1 eV/cell. Number 6: ΔH_f (0 K) -74.0 kJ/mol of atoms, calculated volume 437.0 Å³/f.u., total DFT energy (no corrections) -68.8 eV/cell. Number 7: ΔH_f (0 K) -42.3 kJ/mol of atoms, calculated volume 237.8 Å³/f.u., total DFT energy (no corrections) -34.1 eV/cell. Number 8: ΔH_f (0 K) -19.1 kJ/mol of atoms, calculated volume 57.8 Å³/f.u., total DFT energy (no corrections) -39.6 eV/cell.